A plane-wave DFT calculation with meta-GGA r2SCAN was carried out for crystalline Pr3Pt2 at its relaxed geometry.

Results
The value obtained for the formation energy is -1000 meV per atom. As for the space-group type: R-3, No. 148. For the density, the calculation gives 9.9 g cm⁻³.

Cell and atoms, written as POSCAR:
```
Pr3Pt2
1.0
4.528 2.614 5.739
-4.528 2.614 5.739
0.000 -5.228 5.739
Pr Pt
9 6
Direct
0.000 0.000 0.000
0.162 0.396 0.667
0.199 0.199 0.199
0.333 0.838 0.604
0.396 0.667 0.162
0.604 0.333 0.838
0.667 0.162 0.396
0.801 0.801 0.801
0.838 0.604 0.333
0.042 0.835 0.412
0.165 0.588 0.958
0.412 0.042 0.835
0.588 0.958 0.165
0.835 0.412 0.042
0.958 0.165 0.588
```


A plane-wave DFT calculation with meta-GGA r2SCAN was carried out for crystalline PrPt3 at its relaxed geometry.

Results
The value obtained for the formation energy is -861 meV per atom. As for the space-group type: Pm-3m, No. 221. For the density, the calculation gives 16.3 g cm⁻³.

Cell and atoms, written as POSCAR:
```
PrPt3
1.0
4.198 0.000 0.000
0.000 4.198 0.000
0.000 0.000 4.198
Pr Pt
1 3
Direct
0.000 0.000 0.000
0.000 0.500 0.500
0.500 0.000 0.500
0.500 0.500 0.000
```


A plane-wave DFT calculation with meta-GGA r2SCAN was carried out for crystalline Pr3Sb4Pt3 at its relaxed geometry.

Results
The value obtained for the formation energy is -1145 meV per atom. As for the space-group type: I-43d, No. 220. For the density, the calculation gives 10.0 g cm⁻³.

Cell and atoms, written as POSCAR:
```
Pr3Sb4Pt3
1.0
-4.991 4.991 4.991
4.991 -4.991 4.991
4.991 4.991 -4.991
Pr Sb Pt
6 8 6
Direct
0.125 0.750 0.875
0.250 0.625 0.375
0.375 0.250 0.625
0.625 0.375 0.250
0.750 0.875 0.125
0.875 0.125 0.750
0.000 0.342 0.500
0.000 0.842 0.500
0.158 0.158 0.158
0.342 0.500 0.000
0.500 0.000 0.342
0.500 0.000 0.842
0.658 0.658 0.658
0.842 0.500 0.000
0.125 0.875 0.250
0.250 0.125 0.875
0.375 0.625 0.750
0.625 0.750 0.375
0.750 0.375 0.625
0.875 0.250 0.125
```